CoCu2GeSe4 | Materials Project | GGA-PBE | optimized geometry; energy of formation = -10.346 kcal/mol of atoms; MP2020-corrected energy = -37.50 eV/cell; electronic total energy = -35.615 eV/cell
1.0
-2.8001 2.8001 5.5825
2.8001 -2.8001 5.5825
2.8001 2.8001 -5.5825
Co Cu Ge Se
1 2 1 4
Direct
0.0000 0.0000 0.0000
0.5000 0.5000 0.0000
0.7500 0.2500 0.5000
0.2500 0.7500 0.5000
0.1221 0.6289 0.9939
0.3711 0.3650 0.4932
0.6350 0.1282 0.0061
0.8718 0.8779 0.5068